Record 1
# CdAu r²SCAN relaxed
# **Energy of formation**: -0.42 eV per formula unit
# **Volume**: 18.94 Å³ per atom
data_CdAu
_chemical_formula_sum 'Cd9 Au9'
_space_group_name_H-M_alt 'P 3 1 m'
_space_group_IT_number 157
_cell_length_a 8.2176
_cell_length_b 8.2176
_cell_length_c 5.8304
_cell_angle_alpha 90.00
_cell_angle_beta 90.00
_cell_angle_gamma 120.00
loop_
_space_group_symop_operation_xyz
'x,y,z'
'-y,x-y,z'
'-x+y,-x,z'
'y,x,z'
'x-y,-y,z'
'-x,-x+y,z'
loop_
_atom_site_label
_atom_site_type_symbol
_atom_site_fract_x
_atom_site_fract_y
_atom_site_fract_z
Cd1 Cd 0.0000 0.0000 0.0000
Cd2 Cd 0.0000 0.3131 0.2650
Cd3 Cd 0.0000 0.6475 0.5518
Cd4 Cd 0.3333 0.6667 0.8334
Au1 Au 0.0000 0.0000 0.5061
Au2 Au 0.0000 0.3096 0.7670
Au3 Au 0.0000 0.6399 0.0513
Au4 Au 0.3333 0.6667 0.3276

Record 2
# Sc2CrC3 r²SCAN relaxed
# **Energy of formation**: -2.81 eV per formula unit
# **Volume**: 11.19 Å³ per atom
data_Sc2CrC3
_chemical_formula_sum 'Sc8 Cr4 C12'
_space_group_name_H-M_alt 'P b a m'
_space_group_IT_number 55
_cell_length_a 5.782
_cell_length_b 14.106
_cell_length_c 3.292
_cell_angle_alpha 90.00
_cell_angle_beta 90.00
_cell_angle_gamma 90.00
loop_
_space_group_symop_operation_xyz
'x,y,z'
'-x,-y,-z'
'-x,-y,z'
'x,y,-z'
'x+1/2,-y+1/2,-z'
'-x+1/2,y+1/2,z'
'-x+1/2,y+1/2,-z'
'x+1/2,-y+1/2,z'
loop_
_atom_site_label
_atom_site_type_symbol
_atom_site_fract_x
_atom_site_fract_y
_atom_site_fract_z
Sc1 Sc 0.000 0.000 0.000
Sc2 Sc 0.000 0.500 0.500
Sc3 Sc 0.123 0.187 0.500
Cr1 Cr 0.201 0.346 0.000
C1 C 0.106 0.722 0.000
C2 C 0.139 0.617 0.000
C3 C 0.183 0.908 0.500

Record 3
# Co3P2O8 r²SCAN relaxed
# **Energy of formation**: -25.00 eV per formula unit
# **Polymorph energy (0 for the lowest one)**: 0.00 eV per formula unit
# **Volume**: 12.09 Å³ per atom
data_Co3P2O8
_chemical_formula_sum 'Co6 P4 O16'
_space_group_name_H-M_alt 'P 1 21/c 1'
_space_group_IT_number 14
_cell_length_a 5.038
_cell_length_b 8.331
_cell_length_c 8.717
_cell_angle_alpha 90.00
_cell_angle_beta 120.78
_cell_angle_gamma 90.00
loop_
_space_group_symop_operation_xyz
'x,y,z'
'-x,-y,-z'
'-x,y+1/2,-z+1/2'
'x,-y+1/2,z+1/2'
loop_
_atom_site_label
_atom_site_type_symbol
_atom_site_fract_x
_atom_site_fract_y
_atom_site_fract_z
Co1 Co 0.000 0.000 0.000
Co2 Co 0.019 0.139 0.614
P1 P 0.344 0.694 0.304
O1 O 0.188 0.579 0.143
O2 O 0.197 0.637 0.746
O3 O 0.281 0.642 0.451
O4 O 0.307 0.195 0.126

Record 4
# Tc2P3 r²SCAN relaxed
# **Energy of formation**: -2.92 eV per formula unit
# **Polymorph energy (0 for the lowest one)**: 0.04 eV per formula unit
# **Volume**: 14.32 Å³ per atom
data_Tc2P3
_chemical_formula_sum 'Tc8 P12'
_space_group_name_H-M_alt 'C 1 2/m 1'
_space_group_IT_number 12
_cell_length_a 12.333
_cell_length_b 3.108
_cell_length_c 9.007
_cell_angle_alpha 90.00
_cell_angle_beta 123.95
_cell_angle_gamma 90.00
loop_
_space_group_symop_operation_xyz
'x,y,z'
'-x,-y,-z'
'-x,y,-z'
'x,-y,z'
'x+1/2,y+1/2,z'
'-x+1/2,-y+1/2,-z'
'-x+1/2,y+1/2,-z'
'x+1/2,-y+1/2,z'
loop_
_atom_site_label
_atom_site_type_symbol
_atom_site_fract_x
_atom_site_fract_y
_atom_site_fract_z
Tc1 Tc 0.133 0.000 0.354
Tc2 Tc 0.250 0.000 0.137
P1 P 0.090 0.000 0.823
P2 P 0.098 0.500 0.129
P3 P 0.110 0.500 0.539

Record 5
# TmCrO3 r²SCAN relaxed
# **Energy of formation**: -16.34 eV per formula unit
# **Volume**: 10.65 Å³ per atom
data_TmCrO3
_chemical_formula_sum 'Tm4 Cr4 O12'
_space_group_name_H-M_alt 'P n m a'
_space_group_IT_number 62
_cell_length_a 5.510
_cell_length_b 7.484
_cell_length_c 5.166
_cell_angle_alpha 90.00
_cell_angle_beta 90.00
_cell_angle_gamma 90.00
loop_
_space_group_symop_operation_xyz
'x,y,z'
'-x,-y,-z'
'-x+1/2,-y,z+1/2'
'x+1/2,y,-z+1/2'
'x+1/2,-y+1/2,-z+1/2'
'-x+1/2,y+1/2,z+1/2'
'-x,y+1/2,-z'
'x,-y+1/2,z'
loop_
_atom_site_label
_atom_site_type_symbol
_atom_site_fract_x
_atom_site_fract_y
_atom_site_fract_z
Tm1 Tm 0.073 0.250 0.021
Cr1 Cr 0.000 0.000 0.500
O1 O 0.042 0.750 0.382
O2 O 0.195 0.560 0.811

Record 6
# EuCu2Sn2 r²SCAN relaxed
# **Energy of formation**: -1.99 eV per formula unit
# **Volume**: 21.60 Å³ per atom
data_EuCu2Sn2
_chemical_formula_sum 'Eu2 Cu4 Sn4'
_space_group_name_H-M_alt 'C 1 2/m 1'
_space_group_IT_number 12
_cell_length_a 11.174
_cell_length_b 4.290
_cell_length_c 4.757
_cell_angle_alpha 90.00
_cell_angle_beta 108.69
_cell_angle_gamma 90.00
loop_
_space_group_symop_operation_xyz
'x,y,z'
'-x,-y,-z'
'-x,y,-z'
'x,-y,z'
'x+1/2,y+1/2,z'
'-x+1/2,-y+1/2,-z'
'-x+1/2,y+1/2,-z'
'x+1/2,-y+1/2,z'
loop_
_atom_site_label
_atom_site_type_symbol
_atom_site_fract_x
_atom_site_fract_y
_atom_site_fract_z
Eu1 Eu 0.000 0.000 0.000
Cu1 Cu 0.242 0.500 0.144
Sn1 Sn 0.141 0.500 0.572

Record 7
# Tl4HgBr6 r²SCAN relaxed
# **Energy of formation**: -9.69 eV per formula unit
# **Volume**: 32.69 Å³ per atom
data_Tl4HgBr6
_chemical_formula_sum 'Tl8 Hg2 Br12'
_space_group_name_H-M_alt 'P 4/m n c'
_space_group_IT_number 128
_space_group_name_Hall '-P 4 2n'
_cell_length_a 8.982
_cell_length_b 8.982
_cell_length_c 8.914
_cell_angle_alpha 90.00
_cell_angle_beta 90.00
_cell_angle_gamma 90.00
loop_
_atom_site_label
_atom_site_type_symbol
_atom_site_fract_x
_atom_site_fract_y
_atom_site_fract_z
Tl1 Tl 0.150 0.350 0.250
Hg1 Hg 0.000 0.000 0.000
Br1 Br 0.000 0.000 0.288
Br2 Br 0.139 0.683 0.000

Record 8
# K2ReF8 r²SCAN relaxed
# **Energy of formation**: -29.27 eV per formula unit
# **Volume**: 14.15 Å³ per atom
data_K2ReF8
_chemical_formula_sum 'K8 Re4 F32'
_space_group_name_H-M_alt 'P n m a'
_space_group_IT_number 62
_cell_length_a 8.587
_cell_length_b 5.844
_cell_length_c 12.405
_cell_angle_alpha 90.00
_cell_angle_beta 90.00
_cell_angle_gamma 90.00
loop_
_space_group_symop_operation_xyz
'x,y,z'
'-x,-y,-z'
'-x+1/2,-y,z+1/2'
'x+1/2,y,-z+1/2'
'x+1/2,-y+1/2,-z+1/2'
'-x+1/2,y+1/2,z+1/2'
'-x,y+1/2,-z'
'x,-y+1/2,z'
loop_
_atom_site_label
_atom_site_type_symbol
_atom_site_fract_x
_atom_site_fract_y
_atom_site_fract_z
K1 K 0.051 0.250 0.211
K2 K 0.170 0.250 0.560
Re1 Re 0.215 0.250 0.878
F1 F 0.005 0.750 0.161
F2 F 0.103 0.547 0.387
F3 F 0.129 0.528 0.936
F4 F 0.206 0.047 0.752
F5 F 0.233 0.750 0.532

Record 9
# K2BeCl4 r²SCAN relaxed
# **Energy of formation**: -13.86 eV per formula unit
# **Volume**: 25.71 Å³ per atom
data_K2BeCl4
_chemical_formula_sum 'K8 Be4 Cl16'
_space_group_name_H-M_alt 'P n m a'
_space_group_IT_number 62
_cell_length_a 8.769
_cell_length_b 6.828
_cell_length_c 12.022
_cell_angle_alpha 90.00
_cell_angle_beta 90.00
_cell_angle_gamma 90.00
loop_
_space_group_symop_operation_xyz
'x,y,z'
'-x,-y,-z'
'-x+1/2,-y,z+1/2'
'x+1/2,y,-z+1/2'
'x+1/2,-y+1/2,-z+1/2'
'-x+1/2,y+1/2,z+1/2'
'-x,y+1/2,-z'
'x,-y+1/2,z'
loop_
_atom_site_label
_atom_site_type_symbol
_atom_site_fract_x
_atom_site_fract_y
_atom_site_fract_z
K1 K 0.017 0.250 0.178
K2 K 0.136 0.750 0.415
Be1 Be 0.230 0.750 0.078
Cl1 Cl 0.001 0.750 0.086
Cl2 Cl 0.183 0.009 0.653
Cl3 Cl 0.189 0.250 0.418

Record 10
# CsTmSeCl2O3 r²SCAN relaxed
# **Energy of formation**: -17.86 eV per formula unit
# **Volume**: 24.55 Å³ per atom
data_CsTmSeCl2O3
_chemical_formula_sum 'Cs4 Tm4 Se4 Cl8 O12'
_space_group_name_H-M_alt 'P 1 21/c 1'
_space_group_IT_number 14
_cell_length_a 6.574
_cell_length_b 6.863
_cell_length_c 17.824
_cell_angle_alpha 90.00
_cell_angle_beta 102.31
_cell_angle_gamma 90.00
loop_
_space_group_symop_operation_xyz
'x,y,z'
'-x,-y,-z'
'-x,y+1/2,-z+1/2'
'x,-y+1/2,z+1/2'
loop_
_atom_site_label
_atom_site_type_symbol
_atom_site_fract_x
_atom_site_fract_y
_atom_site_fract_z
Cs1 Cs 0.248 0.210 0.055
Tm1 Tm 0.136 0.678 0.258
Se1 Se 0.362 0.183 0.293
Cl1 Cl 0.121 0.691 0.111
Cl2 Cl 0.227 0.657 0.407
O1 O 0.178 0.145 0.755
O2 O 0.183 0.001 0.265
O3 O 0.486 0.673 0.271

Record 11
# RbMgPH12O10 r²SCAN relaxed
# **Energy of formation**: -38.55 eV per formula unit
# **Volume**: 9.30 Å³ per atom
data_RbMgPH12O10
_chemical_formula_sum 'Rb2 Mg2 P2 H24 O20'
_space_group_name_H-M_alt 'P m n 21'
_space_group_IT_number 31
_cell_length_a 6.805
_cell_length_b 6.085
_cell_length_c 11.235
_cell_angle_alpha 90.00
_cell_angle_beta 90.00
_cell_angle_gamma 90.00
loop_
_space_group_symop_operation_xyz
'x,y,z'
'-x+1/2,-y,z+1/2'
'-x,y,z'
'x+1/2,-y,z+1/2'
loop_
_atom_site_label
_atom_site_type_symbol
_atom_site_fract_x
_atom_site_fract_y
_atom_site_fract_z
Rb1 Rb 0.000 0.146 0.000
Mg1 Mg 0.000 0.116 0.350
P1 P 0.000 0.513 0.717
H1 H 0.000 0.664 0.384
H2 H 0.000 0.769 0.515
H3 H 0.119 0.497 0.229
H4 H 0.176 0.893 0.705
H5 H 0.177 0.679 0.918
H6 H 0.202 0.296 0.539
H7 H 0.248 0.141 0.717
O1 O 0.000 0.433 0.269
O2 O 0.000 0.537 0.852
O3 O 0.000 0.742 0.657
O4 O 0.000 0.802 0.427
O5 O 0.186 0.389 0.676
O6 O 0.212 0.013 0.232
O7 O 0.224 0.228 0.459

Record 12
# HoAl10Ru2 r²SCAN relaxed
# **Energy of formation**: -7.36 eV per formula unit
# **Volume**: 16.00 Å³ per atom
data_HoAl10Ru2
_chemical_formula_sum 'Ho4 Al40 Ru8'
_space_group_name_H-M_alt 'C m c m'
_space_group_IT_number 63
_space_group_name_Hall '-C 2c 2'
_cell_length_a 9.012
_cell_length_b 10.184
_cell_length_c 9.063
_cell_angle_alpha 90.00
_cell_angle_beta 90.00
_cell_angle_gamma 90.00
loop_
_atom_site_label
_atom_site_type_symbol
_atom_site_fract_x
_atom_site_fract_y
_atom_site_fract_z
Ho1 Ho 0.000 0.127 0.250
Al1 Al 0.000 0.157 0.600
Al2 Al 0.000 0.376 0.050
Al3 Al 0.150 0.369 0.750
Al4 Al 0.224 0.365 0.250
Al5 Al 0.226 0.000 0.000
Ru1 Ru 0.250 0.250 0.000